Run w
A plane-wave DFT calculation with GGA-PBE was carried out for crystalline ZnB4O7 at its relaxed geometry.

Unit cell a=8.2971 b=8.8179 c=13.8906 alpha=90.00 beta=90.00 gamma=90.00
Positions (direct):
O1 0.9679 0.0894 0.8579
B1 0.9104 0.3028 0.4363
B2 0.4734 0.8568 0.2701
O2 0.5575 0.2605 0.0032
O3 0.0575 0.2395 0.9968
B3 0.1596 0.1446 0.4622
O4 0.8459 0.3323 0.8896
B4 0.9689 0.0903 0.3305
O5 0.5960 0.0482 0.7939
O6 0.5321 0.5894 0.8579
B5 0.0266 0.3568 0.2701
O7 0.9827 0.7029 0.2517
B6 0.0266 0.1432 0.7701
B7 0.3404 0.8554 0.9622
O8 0.9040 0.5482 0.7939
Zn1 0.3909 0.6264 0.1198
O9 0.8041 0.3866 0.4955
O10 0.3459 0.1677 0.1104
O11 0.5960 0.4518 0.2939
Zn2 0.8909 0.6264 0.3802
O12 0.1153 0.4378 0.8846
B8 0.5266 0.3568 0.2299
O13 0.0960 0.0482 0.7061
O14 0.9827 0.7971 0.7517
O15 0.3459 0.3323 0.6104
Zn3 0.3909 0.8736 0.6198
O16 0.0321 0.5894 0.6421
O17 0.6153 0.4378 0.6154
O18 0.3041 0.1134 0.5045
O19 0.0173 0.2029 0.2483
B9 0.0896 0.8028 0.0637
O20 0.1541 0.6677 0.1104
O21 0.8041 0.1134 0.9955
Zn4 0.1091 0.1264 0.1198
O22 0.4679 0.0894 0.6421
O23 0.6959 0.8866 0.4955
O24 0.5575 0.2395 0.5032
B10 0.0896 0.6972 0.5637
O25 0.6541 0.8323 0.8896
O26 0.8847 0.9378 0.6154
O27 0.4827 0.7029 0.2483
O28 0.6153 0.0622 0.1154
B11 0.6596 0.1446 0.0378
B12 0.9104 0.1972 0.9363
O29 0.9679 0.4106 0.3579
B13 0.5896 0.8028 0.4363
O30 0.5173 0.2971 0.7517
O31 0.9040 0.9518 0.2939
B14 0.4689 0.4097 0.6695
O32 0.1541 0.8323 0.6104
B15 0.0311 0.5903 0.1695
B16 0.5896 0.6972 0.9363
B17 0.9734 0.6432 0.7299
B18 0.1596 0.3554 0.9622
B19 0.4104 0.1972 0.5637
O33 0.4040 0.5482 0.7061
O34 0.3041 0.3866 0.0045
Zn5 0.1091 0.3736 0.6198
B20 0.5266 0.1432 0.7299
O35 0.1959 0.6134 0.5045
O36 0.8847 0.5622 0.1154
B21 0.3404 0.6446 0.4622
O37 0.9425 0.7605 0.0032
B22 0.8404 0.6446 0.0378
O38 0.6959 0.6134 0.9955
O39 0.4827 0.7971 0.7483
B23 0.9689 0.4097 0.8305
O40 0.0960 0.4518 0.2061
O41 0.8459 0.1677 0.3896
Zn6 0.6091 0.1264 0.3802
O42 0.0575 0.2605 0.4968
Zn7 0.8909 0.8736 0.8802
O43 0.6541 0.6677 0.3896
O44 0.3847 0.9378 0.8846
O45 0.5321 0.9106 0.3579
B24 0.8404 0.8554 0.5378
O46 0.1153 0.0622 0.3846
O47 0.9425 0.7395 0.5032
O48 0.3847 0.5622 0.3846
B25 0.4689 0.0903 0.1695
B26 0.4104 0.3028 0.0637
B27 0.9734 0.8568 0.2299
O49 0.0321 0.9106 0.1421
O50 0.4040 0.9518 0.2061
O51 0.4425 0.7605 0.4968
O52 0.0173 0.2971 0.7483
O53 0.1959 0.8866 0.0045
B28 0.5311 0.5903 0.3305
B29 0.5311 0.9097 0.8305
Zn8 0.6091 0.3736 0.8802
B30 0.0311 0.9097 0.6695
B31 0.4734 0.6432 0.7701
O54 0.5173 0.2029 0.2517
B32 0.6596 0.3554 0.5378
O55 0.4425 0.7395 0.9968
O56 0.4679 0.4106 0.1421

---

Run x
A plane-wave DFT calculation with GGA-PBE was carried out for crystalline ZnB4O7 at its relaxed geometry.

Computed properties:
Total moment ... 0.00 Bohr magnetons per cell

Unit cell a=6.3638 b=6.3638 c=5.2211 alpha=90.00 beta=90.00 gamma=118.07
Positions (direct):
B1 0.0754 0.3104 0.7500
O1 0.1893 0.4458 0.9769
O2 0.8107 0.5542 0.4769
O3 0.2451 0.8045 0.7500
O4 0.8107 0.5542 0.0231
B2 0.3104 0.0754 0.7500
B3 0.2976 0.7024 0.5000
O5 0.8045 0.2451 0.7500
Zn1 0.7661 0.7661 0.7500
B4 0.6896 0.9246 0.2500
B5 0.7024 0.2976 0.0000
O6 0.1955 0.7549 0.2500
O7 0.4458 0.1893 0.9769
Zn2 0.2339 0.2339 0.2500
B6 0.7024 0.2976 0.5000
B7 0.2976 0.7024 0.0000
O8 0.9203 0.9203 0.2500
O9 0.4458 0.1893 0.5231
O10 0.0797 0.0797 0.7500
B8 0.9246 0.6896 0.2500
O11 0.1893 0.4458 0.5231
O12 0.5542 0.8107 0.4769
O13 0.5542 0.8107 0.0231
O14 0.7549 0.1955 0.2500

---

Energies, relative to the best one, in eV/atom: run w 0.000; run x 0.058.

---

Run w
A plane-wave DFT calculation with GGA-PBE was carried out for crystalline B12S at its relaxed geometry.

Computed properties:
Total moment ... 0.00 Bohr magnetons per cell

Unit cell a=5.2290 b=5.2290 c=5.2290 alpha=64.64 beta=64.64 gamma=64.64
Positions (direct):
B1 0.4947 0.4947 0.1662
B2 0.8209 0.3006 0.3006
B3 0.3006 0.8209 0.3006
S1 0.9136 0.9136 0.9136
B4 0.2009 0.6862 0.6862
B5 0.5040 0.8281 0.5040
B6 0.4947 0.1662 0.4947
B7 0.6862 0.2009 0.6862
B8 0.3006 0.3006 0.8209
B9 0.6862 0.6862 0.2009
B10 0.8281 0.5040 0.5040
B11 0.1662 0.4947 0.4947
B12 0.5040 0.5040 0.8281

---

Run x
A plane-wave DFT calculation with GGA-PBE was carried out for crystalline B12S at its relaxed geometry.

Computed properties:
Total moment ... 0.00 Bohr magnetons per cell

Unit cell a=5.1341 b=5.1341 c=5.1341 alpha=68.74 beta=68.74 gamma=68.74
Positions (direct):
B1 0.8116 0.2896 0.8116
B2 0.1884 0.7104 0.1884
B3 0.8116 0.8116 0.2896
B4 0.1884 0.1884 0.7104
B5 0.6705 0.9901 0.9901
B6 0.9901 0.9901 0.6705
S1 0.5000 0.5000 0.5000
B7 0.3295 0.0099 0.0099
B8 0.2896 0.8116 0.8116
B9 0.0099 0.0099 0.3295
B10 0.0099 0.3295 0.0099
B11 0.7104 0.1884 0.1884
B12 0.9901 0.6705 0.9901

---

Energies, relative to the best one, in eV/atom: run w 0.000; run x 0.336.

---

Run w
A plane-wave DFT calculation with GGA-PBE was carried out for crystalline Sn3B at its relaxed geometry.

Computed properties:
Total moment ... 0.00 Bohr magnetons per cell

Unit cell a=5.0751 b=5.0751 c=5.0751 alpha=60.00 beta=60.00 gamma=60.00
Positions (direct):
Sn1 0.7500 0.7500 0.7500
B1 0.0000 0.0000 0.0000
Sn2 0.2500 0.2500 0.2500
Sn3 0.5000 0.5000 0.5000

---

Run x
A plane-wave DFT calculation with GGA-PBE was carried out for crystalline Sn3B at its relaxed geometry.

Computed properties:
Total moment ... 0.01 Bohr magnetons per cell

Unit cell a=4.5289 b=4.5289 c=4.5289 alpha=90.00 beta=90.00 gamma=90.00
Positions (direct):
B1 0.0000 0.0000 0.0000
Sn1 0.5000 0.0000 0.5000
Sn2 0.0000 0.5000 0.5000
Sn3 0.5000 0.5000 0.0000

---

Run y
A plane-wave DFT calculation with GGA-PBE was carried out for crystalline Sn3B at its relaxed geometry.

Computed properties:
Total moment ... 0.00 Bohr magnetons per cell

Unit cell a=5.6503 b=5.6503 c=5.6503 alpha=133.37 beta=133.37 gamma=68.07
Positions (direct):
Sn1 0.5000 0.5000 0.0000
Sn2 0.7500 0.2500 0.5000
B1 0.0000 0.0000 0.0000
Sn3 0.2500 0.7500 0.5000

---

Energies, relative to the best one, in eV/atom: run w 0.016; run x 0.010; run y 0.000.